VASP calculation (PBE+U) on an optimized crystal structure of K2Sm2MgMo4O16.

```
K2Sm2MgMo4O16
1.0
7.463 0.000 0.000
-3.433 6.990 0.000
-0.529 -4.001 6.875
K Sm Mg Mo O
2 2 1 4 16
direct
0.000 0.000 0.000 K
0.201 0.552 0.719 K
0.552 0.498 0.059 Sm
0.569 0.017 0.665 Sm
0.869 0.127 0.389 Mg
0.033 0.522 0.180 Mo
0.079 0.966 0.541 Mo
0.470 0.003 0.156 Mo
0.619 0.488 0.537 Mo
0.156 0.156 0.435 O
0.197 0.804 0.077 O
0.214 0.453 0.069 O
0.239 0.791 0.423 O
0.298 0.124 0.769 O
0.502 0.302 0.237 O
0.509 0.646 0.518 O
0.520 0.963 0.916 O
0.575 0.500 0.761 O
0.628 0.857 0.169 O
0.631 0.199 0.457 O
0.808 0.378 0.957 O
0.879 0.060 0.610 O
0.882 0.698 0.282 O
0.896 0.685 0.618 O
0.940 0.331 0.270 O
```

Energy with MP2020 corrections   -7.9118 eV/atom
Theoretical density   4.83 g cm⁻³
Distance to the lowest polymorph of the same formula   0.011 eV/atom
Electronic total energy   -0.512 Ry per atom
Calculated formation energy   -2479.5 meV per atom